Compound: Ho2Ge2O7
Source: the Materials Project database
Functional: meta-GGA r2SCAN
Structure: relaxed

Properties
Its symmetry is Fd-3m. Its energy of formation is -2.91 eV/atom. Its energy above the most stable polymorph in this dataset is 0 meV per atom. The electronic total energy comes out at -334.54 eV for the cell shown.

Lattice parameters (Å, degrees): 6.991 6.991 6.991 60.00 60.00 60.00
Atoms (fractional coordinates):
Ho  0.000  0.000  0.000
Ho  0.000  0.000  0.500
Ho  0.000  0.500  0.000
Ho  0.500  0.000  0.000
Ge  0.000  0.500  0.500
Ge  0.500  0.000  0.500
Ge  0.500  0.500  0.000
Ge  0.500  0.500  0.500
O  0.125  0.125  0.125
O  0.173  0.173  0.577
O  0.173  0.577  0.173
O  0.173  0.577  0.577
O  0.423  0.423  0.827
O  0.423  0.827  0.423
O  0.423  0.827  0.827
O  0.577  0.173  0.173
O  0.577  0.173  0.577
O  0.577  0.577  0.173
O  0.827  0.423  0.423
O  0.827  0.423  0.827
O  0.827  0.827  0.423
O  0.875  0.875  0.875